No. 1
# Ta22O21 (PBE-GGA, optimized geometry)
data_Ta22O21
_chemical_formula_sum 'Ta22 O21'
_cell_length_a 2.928
_cell_length_b 3.855
_cell_length_c 58.009
_cell_angle_alpha 90.65
_cell_angle_beta 90.90
_cell_angle_gamma 90.43
_space_group_name_H-M_alt 'P 1'
_space_group_IT_number 1
loop_
_space_group_symop_operation_xyz
'x,y,z'
loop_
_atom_site_label
_atom_site_type_symbol
_atom_site_fract_x
_atom_site_fract_y
_atom_site_fract_z
Ta1 Ta 0.000 0.000 0.000
Ta2 Ta 0.002 0.172 0.224
Ta3 Ta 0.031 0.507 0.303
Ta4 Ta 0.055 0.001 0.696
Ta5 Ta 0.088 0.641 0.384
Ta6 Ta 0.104 0.996 0.838
Ta7 Ta 0.158 0.079 0.142
Ta8 Ta 0.253 0.181 0.474
Ta9 Ta 0.373 0.121 0.602
Ta10 Ta 0.415 0.996 0.743
Ta11 Ta 0.452 0.997 0.886
Ta12 Ta 0.460 0.995 0.048
Ta13 Ta 0.476 0.863 0.185
Ta14 Ta 0.515 0.905 0.263
Ta15 Ta 0.559 0.908 0.343
Ta16 Ta 0.620 0.134 0.414
Ta17 Ta 0.730 0.996 0.792
Ta18 Ta 0.740 0.012 0.648
Ta19 Ta 0.782 0.713 0.501
Ta20 Ta 0.817 0.013 0.096
Ta21 Ta 0.863 0.680 0.567
Ta22 Ta 0.936 0.996 0.934
O1 O 0.002 0.683 0.239
O2 O 0.007 0.501 0.005
O3 O 0.052 0.501 0.694
O4 O 0.096 0.496 0.839
O5 O 0.143 0.151 0.440
O6 O 0.205 0.568 0.152
O7 O 0.371 0.613 0.596
O8 O 0.412 0.496 0.743
O9 O 0.463 0.497 0.886
O10 O 0.465 0.495 0.051
O11 O 0.494 0.377 0.198
O12 O 0.520 0.399 0.277
O13 O 0.538 0.898 0.304
O14 O 0.541 0.409 0.330
O15 O 0.600 0.074 0.377
O16 O 0.721 0.514 0.644
O17 O 0.725 0.496 0.791
O18 O 0.841 0.517 0.101
O19 O 0.852 0.734 0.535
O20 O 0.932 0.495 0.930
O21 O 0.968 0.998 0.967
# E_tot	-424.72	eV for the cell shown
# energy relative to the elements	-1.73	eV/atom
# energy with MP2020 corrections	-10.213	eV per atom

No. 2
# Al2Ru (PBE-GGA, optimized geometry)
data_Al2Ru
_chemical_formula_sum 'Al4 Ru2'
_cell_length_a 3.155
_cell_length_b 3.155
_cell_length_c 8.459
_cell_angle_alpha 90.00
_cell_angle_beta 90.00
_cell_angle_gamma 90.00
_space_group_name_H-M_alt 'I 4/m m m'
_space_group_IT_number 139
_space_group_name_Hall '-I 4 2'
loop_
_atom_site_label
_atom_site_type_symbol
_atom_site_fract_x
_atom_site_fract_y
_atom_site_fract_z
Al1 Al 0.000 0.000 0.160
Ru1 Ru 0.000 0.000 0.500
# E_tot	-37.65	eV for the cell shown
# energy relative to the elements	-0.69	eV/atom

No. 3
# AgH20S6N5O9 (PBE-GGA, optimized geometry)
data_AgH20S6N5O9
_chemical_formula_sum 'Ag4 H80 S24 N20 O36'
_cell_length_a 10.168
_cell_length_b 10.991
_cell_length_c 16.041
_cell_angle_alpha 90.00
_cell_angle_beta 94.09
_cell_angle_gamma 90.00
_space_group_name_H-M_alt 'P 1 21/c 1'
_space_group_IT_number 14
loop_
_space_group_symop_operation_xyz
'x,y,z'
'-x,-y,-z'
'-x,y+1/2,-z+1/2'
'x,-y+1/2,z+1/2'
loop_
_atom_site_label
_atom_site_type_symbol
_atom_site_fract_x
_atom_site_fract_y
_atom_site_fract_z
Ag1 Ag 0.173 0.064 0.040
H1 H 0.009 0.121 0.659
H2 H 0.011 0.695 0.061
H3 H 0.022 0.002 0.280
H4 H 0.120 0.623 0.779
H5 H 0.121 0.528 0.863
H6 H 0.121 0.732 0.502
H7 H 0.149 0.738 0.608
H8 H 0.162 0.636 0.048
H9 H 0.184 0.165 0.822
H10 H 0.231 0.214 0.264
H11 H 0.309 0.245 0.357
H12 H 0.330 0.163 0.775
H13 H 0.354 0.589 0.211
H14 H 0.356 0.713 0.404
H15 H 0.389 0.553 0.112
H16 H 0.438 0.687 0.154
H17 H 0.475 0.732 0.845
H18 H 0.486 0.061 0.309
H19 H 0.497 0.234 0.549
H20 H 0.499 0.634 0.398
S1 S 0.047 0.033 0.895
S2 S 0.133 0.605 0.332
S3 S 0.197 0.213 0.593
S4 S 0.253 0.115 0.494
S5 S 0.360 0.588 0.702
S6 S 0.388 0.553 0.580
N1 N 0.063 0.570 0.815
N2 N 0.110 0.716 0.055
N3 N 0.263 0.217 0.804
N4 N 0.424 0.597 0.166
N5 N 0.458 0.721 0.400
O1 O 0.031 0.650 0.269
O2 O 0.144 0.117 0.427
O3 O 0.177 0.702 0.392
O4 O 0.247 0.551 0.292
O5 O 0.247 0.674 0.705
O6 O 0.280 0.513 0.022
O7 O 0.334 0.027 0.247
O8 O 0.374 0.170 0.463
O9 O 0.482 0.647 0.740
# E_tot	-841.38	eV for the cell shown
# energy relative to the elements	-0.85	eV/atom
# energy with MP2020 corrections	-5.281	eV per atom

No. 4
# Mg3H4O5 (PBE-GGA, optimized geometry)
data_Mg3H4O5
_chemical_formula_sum 'Mg3 H4 O5'
_cell_length_a 3.1300
_cell_length_b 3.1300
_cell_length_c 12.4196
_cell_angle_alpha 90.00
_cell_angle_beta 90.00
_cell_angle_gamma 120.00
_space_group_name_H-M_alt 'P -3 m 1'
_space_group_IT_number 164
_space_group_name_Hall '-P 3 2"'
loop_
_atom_site_label
_atom_site_type_symbol
_atom_site_fract_x
_atom_site_fract_y
_atom_site_fract_z
Mg1 Mg 0.0000 0.0000 0.0000
Mg2 Mg 0.3333 0.6667 0.5986
H1 H 0.3333 0.6667 0.2389
H2 H 0.3333 0.6667 0.8371
O1 O 0.0000 0.0000 0.5000
O2 O 0.3333 0.6667 0.3171
O3 O 0.3333 0.6667 0.9151
# E_tot	-65.71	eV for the cell shown
# energy relative to the elements	-2.17	eV/atom
# energy with MP2020 corrections	-5.762	eV per atom

No. 5
# PmNdZn2 (PBE-GGA, optimized geometry)
data_PmNdZn2
_chemical_formula_sum 'Pm4 Nd4 Zn8'
_cell_length_a 7.335
_cell_length_b 7.335
_cell_length_c 7.335
_cell_angle_alpha 90.00
_cell_angle_beta 90.00
_cell_angle_gamma 90.00
_space_group_name_H-M_alt 'F m -3 m'
_space_group_IT_number 225
_space_group_name_Hall '-F 4 2 3'
loop_
_atom_site_label
_atom_site_type_symbol
_atom_site_fract_x
_atom_site_fract_y
_atom_site_fract_z
Pm1 Pm 0.000 0.000 0.000
Nd1 Nd 0.000 0.000 0.500
Zn1 Zn 0.250 0.250 0.250
# E_tot	-53.28	eV for the cell shown
# energy relative to the elements	-0.32	eV/atom

No. 6
# Pm3Gd (PBE-GGA, optimized geometry)
data_Pm3Gd
_chemical_formula_sum 'Pm3 Gd1'
_cell_length_a 5.142
_cell_length_b 5.142
_cell_length_c 5.142
_cell_angle_alpha 90.00
_cell_angle_beta 90.00
_cell_angle_gamma 90.00
_space_group_name_H-M_alt 'P m -3 m'
_space_group_IT_number 221
_space_group_name_Hall '-P 4 2 3'
loop_
_atom_site_label
_atom_site_type_symbol
_atom_site_fract_x
_atom_site_fract_y
_atom_site_fract_z
Pm1 Pm 0.000 0.000 0.500
Gd1 Gd 0.500 0.500 0.500
# E_tot	-28.30	eV for the cell shown
# energy relative to the elements	0.01	eV/atom

No. 7
# ZrZnO3 (PBE-GGA, optimized geometry)
data_ZrZnO3
_chemical_formula_sum 'Zr1 Zn1 O3'
_cell_length_a 4.143
_cell_length_b 4.143
_cell_length_c 4.143
_cell_angle_alpha 90.00
_cell_angle_beta 90.00
_cell_angle_gamma 90.00
_space_group_name_H-M_alt 'P m -3 m'
_space_group_IT_number 221
_space_group_name_Hall '-P 4 2 3'
loop_
_atom_site_label
_atom_site_type_symbol
_atom_site_fract_x
_atom_site_fract_y
_atom_site_fract_z
Zr1 Zr 0.000 0.000 0.000
Zn1 Zn 0.500 0.500 0.500
O1 O 0.000 0.000 0.500
# E_tot	-33.82	eV for the cell shown
# energy relative to the elements	-2.25	eV/atom
# energy with MP2020 corrections	-7.177	eV per atom

No. 8
# HoNi12B6 (PBE-GGA, optimized geometry)
data_HoNi12B6
_chemical_formula_sum 'Ho4 Ni48 B24'
_cell_length_a 9.550
_cell_length_b 7.347
_cell_length_c 10.929
_cell_angle_alpha 90.00
_cell_angle_beta 90.00
_cell_angle_gamma 90.00
_space_group_name_H-M_alt 'C m c 21'
_space_group_IT_number 36
loop_
_space_group_symop_operation_xyz
'x,y,z'
'-x,-y,z+1/2'
'-x,y,z'
'x,-y,z+1/2'
'x+1/2,y+1/2,z'
'-x+1/2,-y+1/2,z+1/2'
'-x+1/2,y+1/2,z'
'x+1/2,-y+1/2,z+1/2'
loop_
_atom_site_label
_atom_site_type_symbol
_atom_site_fract_x
_atom_site_fract_y
_atom_site_fract_z
Ho1 Ho 0.000 0.165 0.000
Ni1 Ni 0.000 0.216 0.603
Ni2 Ni 0.000 0.436 0.424
Ni3 Ni 0.130 0.325 0.237
Ni4 Ni 0.130 0.343 0.781
Ni5 Ni 0.131 0.014 0.760
Ni6 Ni 0.183 0.187 0.441
Ni7 Ni 0.195 0.465 0.572
B1 B 0.000 0.164 0.344
B2 B 0.000 0.489 0.656
B3 B 0.206 0.195 0.627
B4 B 0.216 0.458 0.389
# E_tot	-485.84	eV for the cell shown
# energy relative to the elements	-0.39	eV/atom

No. 9
# ScP (PBE-GGA, optimized geometry)
data_ScP
_chemical_formula_sum 'Sc1 P1'
_cell_length_a 3.279
_cell_length_b 3.279
_cell_length_c 3.279
_cell_angle_alpha 90.00
_cell_angle_beta 90.00
_cell_angle_gamma 90.00
_space_group_name_H-M_alt 'P m -3 m'
_space_group_IT_number 221
_space_group_name_Hall '-P 4 2 3'
loop_
_atom_site_label
_atom_site_type_symbol
_atom_site_fract_x
_atom_site_fract_y
_atom_site_fract_z
Sc1 Sc 0.000 0.000 0.000
P1 P 0.500 0.500 0.500
# E_tot	-13.61	eV for the cell shown
# energy relative to the elements	-0.93	eV/atom

No. 10
# Ba3SrHg4O8 (PBE-GGA, optimized geometry)
data_Ba3SrHg4O8
_chemical_formula_sum 'Ba9 Sr3 Hg12 O24'
_cell_length_a 6.8543
_cell_length_b 6.8543
_cell_length_c 25.3977
_cell_angle_alpha 90.00
_cell_angle_beta 90.00
_cell_angle_gamma 120.00
_space_group_name_H-M_alt 'P 3 2 1'
_space_group_IT_number 150
loop_
_space_group_symop_operation_xyz
'x,y,z'
'-y,x-y,z'
'-x+y,-x,z'
'y,x,-z'
'x-y,-y,-z'
'-x,-x+y,-z'
loop_
_atom_site_label
_atom_site_type_symbol
_atom_site_fract_x
_atom_site_fract_y
_atom_site_fract_z
Ba1 Ba 0.0000 0.0000 0.0000
Ba2 Ba 0.3333 0.6667 0.0168
Ba3 Ba 0.3333 0.6667 0.2335
Ba4 Ba 0.3333 0.6667 0.5165
Ba5 Ba 0.3333 0.6667 0.7332
Sr1 Sr 0.0000 0.0000 0.2501
Sr2 Sr 0.0000 0.0000 0.5000
Hg1 Hg 0.1699 0.3397 0.3750
Hg2 Hg 0.1704 0.8269 0.8742
O1 O 0.0371 0.3341 0.8032
O2 O 0.0369 0.6865 0.9447
O3 O 0.0382 0.3348 0.3035
O4 O 0.0383 0.7035 0.4465
# E_tot	-220.04	eV for the cell shown
# energy relative to the elements	-1.91	eV/atom
# energy with MP2020 corrections	-4.928	eV per atom

No. 11
# ScH11Br2O6 (PBE-GGA, optimized geometry)
data_ScH11Br2O6
_chemical_formula_sum 'Sc2 H22 Br4 O12'
_cell_length_a 7.606
_cell_length_b 8.499
_cell_length_c 8.785
_cell_angle_alpha 96.33
_cell_angle_beta 114.97
_cell_angle_gamma 101.31
_space_group_name_H-M_alt 'P -1'
_space_group_IT_number 2
loop_
_space_group_symop_operation_xyz
'x,y,z'
'-x,-y,-z'
loop_
_atom_site_label
_atom_site_type_symbol
_atom_site_fract_x
_atom_site_fract_y
_atom_site_fract_z
Sc1 Sc 0.121 0.159 0.173
H1 H 0.034 0.559 0.794
H2 H 0.059 0.827 0.170
H3 H 0.082 0.846 0.615
H4 H 0.145 0.030 0.719
H5 H 0.197 0.682 0.973
H6 H 0.258 0.457 0.437
H7 H 0.337 0.316 0.530
H8 H 0.360 0.309 0.016
H9 H 0.396 0.452 0.166
H10 H 0.414 0.981 0.280
H11 H 0.467 0.837 0.607
Br1 Br 0.144 0.689 0.419
Br2 Br 0.466 0.253 0.806
O1 O 0.035 0.903 0.091
O2 O 0.051 0.921 0.688
O3 O 0.062 0.661 0.875
O4 O 0.287 0.350 0.418
O5 O 0.329 0.335 0.112
O6 O 0.397 0.088 0.317
# E_tot	-203.63	eV for the cell shown
# energy relative to the elements	-1.47	eV/atom
# energy with MP2020 corrections	-5.297	eV per atom